This record from Materials Project describes a relaxed K3Fe2Se4 crystal. The functional is PBE-GGA.

The structure in CIF format:
```
data_K3Fe2Se4
_chemical_formula_sum 'K12 Fe8 Se16'
_space_group_name_H-M_alt 'P n m a'
_space_group_IT_number 62
_cell_length_a 7.583
_cell_length_b 11.200
_cell_length_c 12.284
_cell_angle_alpha 90.00
_cell_angle_beta 90.00
_cell_angle_gamma 90.00
loop_
_space_group_symop_operation_xyz
'x,y,z'
'-x,-y,-z'
'-x+1/2,-y,z+1/2'
'x+1/2,y,-z+1/2'
'x+1/2,-y+1/2,-z+1/2'
'-x+1/2,y+1/2,z+1/2'
'-x,y+1/2,-z'
'x,-y+1/2,z'
loop_
_atom_site_label
_atom_site_fract_x
_atom_site_fract_y
_atom_site_fract_z
K1 0.070 0.072 0.137
K2 0.083 0.250 0.763
Fe1 0.051 0.133 0.471
Se1 0.092 0.750 0.667
Se2 0.154 0.555 0.392
Se3 0.199 0.750 0.034
```

Output
**Total DFT energy (no corrections)**: -4.561 eV/atom


This record from Materials Project describes a relaxed KFeTc2 crystal. The functional is PBE-GGA.

The structure in CIF format:
```
data_KFeTc2
_chemical_formula_sum 'K4 Fe4 Tc8'
_space_group_name_H-M_alt 'F -4 3 m'
_space_group_IT_number 216
_space_group_name_Hall 'F -4 2 3'
_cell_length_a 6.324
_cell_length_b 6.324
_cell_length_c 6.324
_cell_angle_alpha 90.00
_cell_angle_beta 90.00
_cell_angle_gamma 90.00
loop_
_atom_site_label
_atom_site_fract_x
_atom_site_fract_y
_atom_site_fract_z
K1 0.000 0.000 0.000
Fe1 0.250 0.250 0.250
Tc1 0.000 0.000 0.500
Tc2 0.250 0.250 0.750
```

Output
**Total DFT energy (no corrections)**: -6.158 eV/atom


This record from Materials Project describes a relaxed KFe2Te2 crystal. The functional is PBE-GGA.

The structure in CIF format:
```
data_KFe2Te2
_chemical_formula_sum 'K2 Fe4 Te4'
_space_group_name_H-M_alt 'I 4/m m m'
_space_group_IT_number 139
_space_group_name_Hall '-I 4 2'
_cell_length_a 3.879
_cell_length_b 3.879
_cell_length_c 16.370
_cell_angle_alpha 90.00
_cell_angle_beta 90.00
_cell_angle_gamma 90.00
loop_
_atom_site_label
_atom_site_fract_x
_atom_site_fract_y
_atom_site_fract_z
K1 0.000 0.000 0.000
Fe1 0.000 0.500 0.250
Te1 0.000 0.000 0.360
```

Output
**Total DFT energy (no corrections)**: -5.154 eV/atom


This record from Materials Project describes a relaxed K5Fe2Te5 crystal. The functional is PBE-GGA.

The structure in CIF format:
```
data_K5Fe2Te5
_chemical_formula_sum 'K60 Fe24 Te60'
_space_group_name_H-M_alt 'P a -3'
_space_group_IT_number 205
_space_group_name_Hall '-P 2ac 2ab 3'
_cell_length_a 17.229
_cell_length_b 17.229
_cell_length_c 17.229
_cell_angle_alpha 90.00
_cell_angle_beta 90.00
_cell_angle_gamma 90.00
loop_
_atom_site_label
_atom_site_fract_x
_atom_site_fract_y
_atom_site_fract_z
K1 0.000 0.000 0.000
K2 0.104 0.112 0.369
K3 0.114 0.150 0.847
K4 0.126 0.626 0.874
Fe1 0.054 0.157 0.166
Te1 0.000 0.000 0.500
Te2 0.011 0.201 0.027
Te3 0.032 0.739 0.241
Te4 0.197 0.197 0.197
```

Output
**Total DFT energy (no corrections)**: -3.877 eV/atom


This record from Materials Project describes a relaxed La2Mn3FeSi4 crystal. The functional is PBE-GGA.

The structure in CIF format:
```
data_La2Mn3FeSi4
_chemical_formula_sum 'La2 Mn3 Fe1 Si4'
_space_group_name_H-M_alt 'P -4 m 2'
_space_group_IT_number 115
_cell_length_a 4.017
_cell_length_b 4.017
_cell_length_c 10.534
_cell_angle_alpha 90.00
_cell_angle_beta 90.00
_cell_angle_gamma 90.00
loop_
_space_group_symop_operation_xyz
'x,y,z'
'y,-x,-z'
'-x,-y,z'
'-y,x,-z'
'-x,y,z'
'-y,-x,-z'
'x,-y,z'
'y,x,-z'
loop_
_atom_site_label
_atom_site_fract_x
_atom_site_fract_y
_atom_site_fract_z
La1 0.000 0.500 0.248
Mn1 0.000 0.000 0.000
Mn2 0.000 0.000 0.500
Mn3 0.500 0.500 0.500
Fe1 0.500 0.500 0.000
Si1 0.000 0.500 0.622
Si2 0.000 0.500 0.882
```

Output
**Total DFT energy (no corrections)**: -7.311 eV/atom


This record from Materials Project describes a relaxed LaFe4P12 crystal. The functional is PBE-GGA.

The structure in CIF format:
```
data_LaFe4P12
_chemical_formula_sum 'La2 Fe8 P24'
_space_group_name_H-M_alt 'I m -3'
_space_group_IT_number 204
_space_group_name_Hall '-I 2 2 3'
_cell_length_a 7.819
_cell_length_b 7.819
_cell_length_c 7.819
_cell_angle_alpha 90.00
_cell_angle_beta 90.00
_cell_angle_gamma 90.00
loop_
_atom_site_label
_atom_site_fract_x
_atom_site_fract_y
_atom_site_fract_z
La1 0.000 0.000 0.000
Fe1 0.250 0.250 0.250
P1 0.000 0.353 0.152
```

Output
**Total DFT energy (no corrections)**: -6.723 eV/atom


| no. | energy relative to the elements (eV/f.u.) |
| --- | --- |
| 1 | -8.68 |
| 2 | 5.67 |
| 3 | -2.28 |
| 4 | -10.43 |
| 5 | -5.30 |
| 6 | -10.51 |